Below is crystalline K6Na14MgTl18 at its relaxed geometry, with properties calculated at the meta-GGA r2SCAN level.

Properties
* mass density: 5.94 g/cm³

Cell lengths 10.6014, 10.6014, 10.6014 Å; angles 90.00, 90.00, 90.00 degrees
Closest atoms and distances in Å follow each position.
Space group Pm-3 (No. 200)
Symmetry-distinct sites (fractional):
K1 0.0000 0.3126 0.5000 x6  6 Tl 3.67-3.73, 8 Na 3.77-4.03, 1 K 3.97
Na1 0.0000 0.5000 0.1691 x6  4 Tl 3.21-3.46, 1 Na 3.59
Na2 0.2190 0.2190 0.2190 x8  6 Tl 3.28
Mg1 0.5000 0.5000 0.5000 x1  12 Tl 3.15
Tl1 0.0000 0.0000 0.2205 x6  6 Na 3.28-3.46, 4 Tl 3.31
Tl2 0.2462 0.5000 0.3451 x12  1 Mg 3.15, 3 Na 3.21-3.28, 5 Tl 3.28-3.32

***

Below is crystalline K3BSb4O13 at its relaxed geometry, with properties calculated at the meta-GGA r2SCAN level.

Properties
* mass density: 4.54 g/cm³

Cell lengths 7.1444, 7.2462, 13.2834 Å; angles 81.91, 80.16, 62.91 degrees
Closest atoms and distances in Å follow each position.
Space group P-1 (No. 2)
Symmetry-distinct sites (fractional):
K1 0.0989 0.1012 0.0588 x2  4 O 2.57-2.86
K2 0.2935 0.2841 0.8054 x2  6 O 2.77-3.07
K3 0.3068 0.2808 0.5310 x2  6 O 2.69-2.92
B1 0.1596 0.7699 0.5226 x2  3 O 1.37-1.38
Sb1 0.1630 0.7098 0.2903 x2  6 O 1.94-2.05
Sb2 0.1677 0.2065 0.2936 x2  6 O 1.97-2.00
Sb3 0.3187 0.8083 0.7128 x2  6 O 1.94-2.05
Sb4 0.4198 0.4341 0.1051 x2  6 O 1.94-2.10
O1 0.0507 0.1510 0.4360 x2  1 B 1.38
O2 0.0634 0.4945 0.3316 x2  2 Sb 1.97-1.98
O3 0.1035 0.7100 0.7596 x2  2 Sb 1.95-1.97
O4 0.1367 0.1026 0.6922 x2  2 Sb 1.94
O5 0.1612 0.6956 0.1386 x2  2 Sb 1.99-2.03
O6 0.2278 0.6809 0.4304 x2  1 B 1.37
O7 0.2587 0.2757 0.1501 x2  2 Sb 1.94-1.98
O8 0.2687 0.9195 0.2530 x2  2 Sb 1.96-1.99
O9 0.3237 0.7484 0.5724 x2  1 B 1.38
O10 0.3249 0.8269 0.8621 x2  2 Sb 2.00-2.02
O11 0.4080 0.4148 0.9606 x2  2 Sb 1.96-2.02
O12 0.4470 0.1165 0.3407 x2  2 Sb 1.98
O13 0.4624 0.4868 0.2491 x2  3 Sb 2.05-2.10

***

Below is crystalline LiZn13 at its relaxed geometry, with properties calculated at the meta-GGA r2SCAN level.

Properties
* mass density: 6.54 g/cm³

Cell lengths 12.0323, 12.0323, 12.0323 Å; angles 90.00, 90.00, 90.00 degrees
Closest atoms and distances in Å follow each position.
Space group Fm-3c (No. 226)
Symmetry-distinct sites (fractional):
Li1 0.2500 0.2500 0.2500 x8  24 Zn 3.49
Zn1 0.0000 0.0000 0.0000 x8  12 Zn 2.61
Zn2 0.0000 0.1194 0.1807 x96  9 Zn 2.52-2.71

***

Number 1: E -27.058 eV per atom. Number 2: E -11.692 eV per atom. Number 3: E -8.501 eV per atom.